VASP calculation (PBE) on an optimized crystal structure of BPBr2NCl3.

Unit cell a=9.3053 b=9.3053 c=10.4919 alpha=90.00 beta=90.00 gamma=84.92
Last column: nearest neighbours and their distance in Å.
Positions (direct):
B: 0.0802 0.0802 0.0000  2 N 1.56
B: 0.4198 0.4198 0.5000  2 N 1.56
B: 0.5802 0.5802 0.5000  2 N 1.56
B: 0.9198 0.9198 0.0000  2 N 1.56
P: 0.0008 0.9992 0.7465  1 N 1.57
P: 0.4992 0.5008 0.2465  1 N 1.57
P: 0.5008 0.4992 0.7535  1 N 1.57
P: 0.9992 0.0008 0.2535  1 N 1.57
Br: 0.0341 0.2969 0.9800  1 B 2.03
Br: 0.2031 0.4659 0.5200  1 B 2.03
Br: 0.2969 0.0341 0.0200  1 B 2.03
Br: 0.4659 0.2031 0.4800  1 B 2.03
Br: 0.5341 0.7969 0.5200  1 B 2.03
Br: 0.7031 0.9659 0.9800  1 B 2.03
Br: 0.7969 0.5341 0.4800  1 B 2.03
Br: 0.9659 0.7031 0.0200  1 B 2.03
N: 0.0112 0.9888 0.8961  2 B 1.56, 1 P 1.57
N: 0.4888 0.5112 0.3961  2 B 1.56, 1 P 1.57
N: 0.5112 0.4888 0.6039  2 B 1.56, 1 P 1.57
N: 0.9888 0.0112 0.1039  2 B 1.56, 1 P 1.57
Cl: 0.0479 0.1856 0.3286  1 P 1.98
Cl: 0.1469 0.8531 0.3251  1 P 2.00
Cl: 0.1856 0.0479 0.6714  1 P 1.98
Cl: 0.3144 0.4521 0.1714  1 P 1.98
Cl: 0.3531 0.6469 0.8251  1 P 2.00
Cl: 0.4521 0.3144 0.8286  1 P 1.98
Cl: 0.5479 0.6856 0.1714  1 P 1.98
Cl: 0.6469 0.3531 0.1749  1 P 2.00
Cl: 0.6856 0.5479 0.8286  1 P 1.98
Cl: 0.8144 0.9521 0.3286  1 P 1.98
Cl: 0.8531 0.1469 0.6749  1 P 2.00
Cl: 0.9521 0.8144 0.6714  1 P 1.98

Properties
Space-group type: No. 64
Total energy (eV/atom): -4.29